! CoH8C3N2O6, optimized geometry, DFT meta-GGA r2SCAN; values from VASP
! DFT formation energy = -728 meV per atom
&SYSTEM
  ibrav = 0, nat = 80, ntyp = 5
/
ATOMIC_SPECIES
Co 58.93 Co.upf
H 1.01 H.upf
C 12.01 C.upf
N 14.01 N.upf
O 16.00 O.upf
ATOMIC_POSITIONS angstrom
Co 4.589 3.859 5.842
Co 3.969 3.853 0.139
Co 0.310 7.710 5.842
Co 8.248 0.003 0.139
H 4.560 3.248 8.664
H 3.998 4.465 2.961
H 0.281 0.608 8.664
H 8.277 7.105 2.961
H 2.304 5.622 6.405
H 6.254 2.091 0.702
H 6.583 5.948 6.405
H 1.975 1.765 0.702
H 2.902 1.447 5.740
H 5.656 6.266 0.037
H 7.181 2.409 5.740
H 1.377 5.303 0.037
H 0.623 3.167 7.732
H 7.935 4.545 2.029
H 4.902 0.689 7.732
H 3.656 7.024 2.029
H 0.609 4.846 8.022
H 7.949 2.867 2.318
H 4.888 6.723 8.022
H 3.670 0.989 2.318
H 1.267 3.765 9.169
H 7.291 3.948 3.465
H 5.546 0.092 9.169
H 3.012 7.621 3.465
H 7.834 3.065 9.729
H 0.724 4.648 4.025
H 3.555 0.791 9.729
H 5.003 6.922 4.025
H 7.680 4.697 9.583
H 0.879 3.016 3.879
H 3.401 6.873 9.583
H 5.158 0.840 3.879
C 4.548 4.344 8.693
C 4.010 3.369 2.989
C 0.269 7.225 8.693
C 8.289 0.487 2.989
C 2.736 6.094 5.515
C 5.822 1.618 11.219
C 7.015 5.475 5.515
C 1.543 2.238 11.219
C 2.273 2.145 6.306
C 6.285 5.568 0.603
C 6.552 1.711 6.306
C 2.006 6.001 0.603
N 7.759 3.827 9.051
N 0.799 3.885 3.348
N 3.480 0.029 9.051
N 5.078 7.684 3.348
N 0.520 3.903 8.457
N 8.038 3.810 2.753
N 4.799 7.666 8.457
N 3.759 0.047 2.753
O 4.764 4.968 7.609
O 3.794 2.745 1.905
O 0.485 6.601 7.609
O 8.073 1.112 1.905
O 4.322 4.921 9.792
O 4.236 2.792 4.088
O 0.043 6.648 9.792
O 8.515 1.065 4.088
O 3.800 5.614 5.036
O 4.758 2.098 10.739
O 8.079 5.955 5.036
O 0.479 1.758 10.739
O 2.136 7.098 5.022
O 6.422 0.615 10.726
O 6.415 4.472 5.022
O 2.143 3.241 10.726
O 2.744 3.273 6.611
O 5.814 4.439 0.908
O 7.023 0.583 6.611
O 1.535 7.130 0.908
O 1.097 1.776 6.614
O 7.461 5.937 0.910
O 5.376 2.081 6.614
O 3.182 5.632 0.910
CELL_PARAMETERS angstrom
8.558 0.000 0.000
0.000 7.713 0.000
0.000 0.000 11.407


! Tm5Ga3, optimized geometry, DFT meta-GGA r2SCAN; values from VASP
! DFT formation energy = -578 meV per atom
! Offset from the most stable computed form = 17 meV/atom
&SYSTEM
  ibrav = 0, nat = 16, ntyp = 2
/
ATOMIC_SPECIES
Tm 168.93 Tm.upf
Ga 69.72 Ga.upf
ATOMIC_POSITIONS angstrom
Tm 4.226 -2.440 0.000
Tm 4.226 2.440 0.000
Tm 4.226 2.440 3.182
Tm 4.226 -2.440 3.182
Tm 6.383 0.000 4.773
Tm 1.034 -1.791 4.773
Tm 1.034 1.791 4.773
Tm 2.069 0.000 1.591
Tm 3.191 -5.528 1.591
Tm 3.191 5.528 1.591
Ga 3.373 0.000 4.773
Ga 2.539 -4.398 4.773
Ga 2.539 4.398 4.773
Ga 5.078 0.000 1.591
Ga 1.687 -2.921 1.591
Ga 1.687 2.921 1.591
CELL_PARAMETERS angstrom
4.226 -7.319 0.000
4.226 7.319 0.000
0.000 0.000 6.365


! Sn2Bi2O7, optimized geometry, DFT meta-GGA r2SCAN; values from VASP
! DFT formation energy = -1643 meV per atom
&SYSTEM
  ibrav = 0, nat = 22, ntyp = 3
/
ATOMIC_SPECIES
Sn 118.71 Sn.upf
Bi 208.98 Bi.upf
O 16.00 O.upf
ATOMIC_POSITIONS angstrom
Sn 3.983 3.983 6.639
Sn 3.983 6.639 3.983
Sn 6.639 3.983 3.983
Sn 6.639 6.639 6.639
Bi 3.983 3.983 1.328
Bi 3.983 1.328 3.983
Bi 1.328 3.983 3.983
Bi 1.328 1.328 1.328
O 0.000 0.000 0.000
O 2.656 2.656 2.656
O 7.967 10.160 7.967
O 5.311 7.504 5.311
O 7.967 7.967 10.160
O 10.160 7.967 7.967
O 5.773 7.967 7.967
O 7.967 7.967 5.773
O 7.967 5.773 7.967
O 7.504 5.311 5.311
O 3.118 5.311 5.311
O 5.311 3.118 5.311
O 5.311 5.311 7.504
O 5.311 5.311 3.118
CELL_PARAMETERS angstrom
0.000 5.311 5.311
5.311 0.000 5.311
5.311 5.311 0.000


! YbCuS2, optimized geometry, DFT meta-GGA r2SCAN; values from VASP
! DFT formation energy = -1591 meV per atom
&SYSTEM
  ibrav = 0, nat = 16, ntyp = 3
/
ATOMIC_SPECIES
Yb 173.04 Yb.upf
Cu 63.55 Cu.upf
S 32.06 S.upf
ATOMIC_POSITIONS angstrom
Yb 0.971 0.003 8.341
Yb 2.913 3.099 11.389
Yb 2.913 6.189 4.812
Yb 0.971 3.093 1.764
Cu 0.971 0.729 12.538
Cu 0.971 2.367 5.961
Cu 2.913 5.463 0.615
Cu 2.913 3.825 7.192
S 0.971 4.696 6.056
S 2.913 1.496 7.097
S 2.913 4.559 2.711
S 0.971 4.592 12.632
S 0.971 1.463 3.865
S 2.913 1.600 0.520
S 2.913 4.729 9.288
S 0.971 1.633 10.441
CELL_PARAMETERS angstrom
3.884 0.000 0.000
0.000 6.192 0.000
0.000 0.000 13.153


! Ac2IrRh, optimized geometry, DFT meta-GGA r2SCAN; values from VASP
! DFT formation energy = -535 meV per atom
&SYSTEM
  ibrav = 0, nat = 4, ntyp = 3
/
ATOMIC_SPECIES
Ac 227.00 Ac.upf
Ir 192.22 Ir.upf
Rh 102.91 Rh.upf
ATOMIC_POSITIONS angstrom
Ac -1.626 -7.282 -6.066
Ac -0.542 -2.427 -2.022
Ir -1.084 -4.855 -4.044
Rh 0.000 0.000 0.000
CELL_PARAMETERS angstrom
2.208 -3.279 -3.431
-1.729 -4.924 -0.400
-2.647 -1.506 -4.257


! Tb2Mo4O15, optimized geometry, DFT meta-GGA r2SCAN; values from VASP
! DFT formation energy = -2643 meV per atom
&SYSTEM
  ibrav = 0, nat = 42, ntyp = 3
/
ATOMIC_SPECIES
Tb 158.93 Tb.upf
Mo 95.94 Mo.upf
O 16.00 O.upf
ATOMIC_POSITIONS angstrom
Tb 5.039 2.073 2.285
Tb 0.226 6.134 2.844
Tb 4.586 7.527 7.949
Tb 9.399 3.466 7.390
Mo 2.465 3.312 10.097
Mo 7.277 7.681 5.242
Mo 7.161 6.288 0.137
Mo 2.348 1.919 4.992
Mo 8.710 3.017 1.599
Mo 3.897 5.189 3.531
Mo 0.916 6.583 8.635
Mo 5.728 4.411 6.704
O 1.613 6.277 1.029
O 6.425 1.929 4.100
O 8.013 3.323 9.205
O 3.200 7.671 6.134
O 9.356 3.842 2.998
O 4.543 4.365 2.132
O 0.270 5.758 7.237
O 5.082 5.235 8.103
O 3.591 9.172 9.179
O 8.403 1.821 6.160
O 6.035 0.427 1.056
O 1.222 7.779 4.074
O 4.813 4.800 5.117
O 0.000 3.407 0.012
O 3.513 2.744 3.920
O 8.325 5.463 1.210
O 6.113 6.856 6.315
O 1.300 4.137 9.024
O 7.465 4.449 6.609
O 2.652 6.544 8.730
O 2.160 5.151 3.625
O 6.973 3.056 1.504
O 1.483 3.119 5.941
O 6.296 7.874 9.398
O 8.142 6.481 4.293
O 3.330 1.726 0.836
O 5.356 2.730 6.961
O 0.543 8.263 8.379
O 4.269 6.870 3.274
O 9.082 1.337 1.856
CELL_PARAMETERS angstrom
9.625 0.000 0.000
0.000 6.813 0.025
0.000 2.787 10.210


! Tb4Si3Ge, optimized geometry, DFT meta-GGA r2SCAN; values from VASP
! DFT formation energy = -917 meV per atom
&SYSTEM
  ibrav = 0, nat = 8, ntyp = 3
/
ATOMIC_SPECIES
Tb 158.93 Tb.upf
Si 28.09 Si.upf
Ge 72.64 Ge.upf
ATOMIC_POSITIONS angstrom
Tb 0.000 0.000 1.468
Tb 0.000 2.151 6.809
Tb 1.933 2.151 3.817
Tb 1.933 0.000 9.136
Si 0.000 2.151 9.823
Si 1.933 2.151 0.803
Si 1.933 0.000 6.158
Ge 0.000 0.000 4.469
CELL_PARAMETERS angstrom
3.866 0.000 0.000
0.000 4.301 0.000
0.000 0.000 10.620


! VO2F, optimized geometry, DFT meta-GGA r2SCAN; values from VASP
! DFT formation energy = -2575 meV per atom
&SYSTEM
  ibrav = 0, nat = 24, ntyp = 3
/
ATOMIC_SPECIES
V 50.94 V.upf
O 16.00 O.upf
F 19.00 F.upf
ATOMIC_POSITIONS angstrom
V 3.594 4.593 4.162
V -0.854 3.372 -0.285
V 2.650 3.973 -0.644
V -0.054 3.909 4.674
V 4.318 2.891 6.993
V 7.810 3.709 6.575
O 2.917 3.154 0.754
O 5.224 4.746 4.049
O 0.995 4.034 -0.766
O 0.492 2.939 5.900
O 7.605 4.257 5.021
O 5.886 3.399 6.842
O -1.012 4.552 0.866
O 3.263 3.184 3.348
O 0.181 2.939 3.288
O 7.838 5.078 7.480
O 3.481 3.910 5.907
O 5.852 5.556 9.128
F 1.952 1.219 2.234
F 6.800 7.480 7.625
F 3.873 3.881 8.502
F 7.236 4.282 2.436
F 0.060 2.127 0.749
F 1.496 4.904 4.427
CELL_PARAMETERS angstrom
2.742 2.782 -3.308
-3.802 2.181 2.643
8.203 3.003 9.326


! Cs3TiF6, optimized geometry, DFT meta-GGA r2SCAN; values from VASP
! DFT formation energy = -3245 meV per atom
&SYSTEM
  ibrav = 0, nat = 10, ntyp = 3
/
ATOMIC_SPECIES
Cs 132.91 Cs.upf
Ti 47.87 Ti.upf
F 19.00 F.upf
ATOMIC_POSITIONS angstrom
Cs -3.878 -3.467 11.231
Cs -1.293 -1.156 3.744
Cs -2.585 -2.312 7.487
Ti 0.000 0.000 0.000
F -1.353 -3.983 5.627
F -4.198 -1.260 5.473
F -3.818 -0.640 9.347
F -0.675 -0.344 6.984
F -4.495 -4.279 7.990
F -0.972 -3.363 9.501
CELL_PARAMETERS angstrom
-0.484 -5.161 4.316
0.670 1.043 6.630
-5.357 -0.505 4.027


! GaI3, optimized geometry, DFT meta-GGA r2SCAN; values from VASP
! DFT formation energy = -574 meV per atom
&SYSTEM
  ibrav = 0, nat = 16, ntyp = 2
/
ATOMIC_SPECIES
Ga 69.72 Ga.upf
I 126.90 I.upf
ATOMIC_POSITIONS angstrom
Ga 3.469 -9.441 6.185
Ga 1.281 -2.607 6.464
Ga -4.812 -0.330 4.407
Ga -2.624 -7.164 4.128
I -0.317 -6.795 8.567
I 2.867 -4.533 6.430
I -1.026 -2.976 2.025
I -4.210 -5.238 4.161
I -4.169 -5.192 -0.114
I -1.187 -2.982 6.428
I 2.826 -4.578 10.705
I -0.156 -6.788 4.163
I -7.527 -7.234 2.049
I 1.927 -0.861 4.526
I 6.184 -2.536 8.543
I -3.270 -8.910 6.066
CELL_PARAMETERS angstrom
-4.206 1.377 4.489
-5.189 -7.947 -2.424
8.052 -3.200 8.527


! DyErRh2, optimized geometry, DFT meta-GGA r2SCAN; values from VASP
! DFT formation energy = -970 meV per atom
&SYSTEM
  ibrav = 0, nat = 4, ntyp = 3
/
ATOMIC_SPECIES
Dy 162.50 Dy.upf
Er 167.26 Er.upf
Rh 102.91 Rh.upf
ATOMIC_POSITIONS angstrom
Dy 1.894 1.669 5.296
Er 0.000 0.000 0.000
Rh 0.947 0.834 2.648
Rh 2.842 2.503 7.943
CELL_PARAMETERS angstrom
3.879 0.751 2.709
0.035 3.568 3.196
-0.125 -0.981 4.687


! CeSi2Os2, optimized geometry, DFT meta-GGA r2SCAN; values from VASP
! DFT formation energy = -803 meV per atom
&SYSTEM
  ibrav = 0, nat = 5, ntyp = 3
/
ATOMIC_SPECIES
Ce 140.12 Ce.upf
Si 28.09 Si.upf
Os 190.23 Os.upf
ATOMIC_POSITIONS angstrom
Ce 0.000 0.000 0.000
Si 2.096 2.442 -0.416
Si 1.195 1.392 3.069
Os 0.516 2.886 1.327
Os 2.774 0.948 1.327
CELL_PARAMETERS angstrom
3.922 0.000 -1.527
-0.594 3.877 -1.527
-0.037 -0.043 5.706